This record from the Materials Project database describes CsAuCl3 after structural relaxation. The functional is PBE.

```
data_CsAuCl3
_chemical_formula_sum 'Cs1 Au1 Cl3'
_cell_length_a 5.207
_cell_length_b 5.207
_cell_length_c 5.207
_cell_angle_alpha 90.00
_cell_angle_beta 90.00
_cell_angle_gamma 90.00
_space_group_name_H-M_alt 'P 1'
_space_group_IT_number 1
_space_group_name_Hall 'P 1'
loop_
_atom_site_label
_atom_site_type_symbol
_atom_site_fract_x
_atom_site_fract_y
_atom_site_fract_z
_atom_site_occupancy
Cl1 Cl 0.000 0.500 0.000 1
Cl2 Cl 0.500 0.000 0.000 1
Cl3 Cl 0.000 0.000 0.500 1
Cs1 Cs 0.500 0.500 0.500 1
Au1 Au 0.000 0.000 0.000 1
```

Results
Crystal system: cubic
Energy of formation from the pure elements (eV/atom): -1.3434
Mass density (Mg/m³): 5.1
Uncorrected energy (eV/atom): -2.918

This record from the Materials Project database describes Cs2GaAuCl6 after structural relaxation. The functional is PBE.

```
data_Cs2GaAuCl6
_chemical_formula_sum 'Cs2 Ga1 Au1 Cl6'
_cell_length_a 7.365
_cell_length_b 7.365
_cell_length_c 7.365
_cell_angle_alpha 60.00
_cell_angle_beta 60.00
_cell_angle_gamma 60.00
_space_group_name_H-M_alt 'P 1'
_space_group_IT_number 1
_space_group_name_Hall 'P 1'
loop_
_atom_site_label
_atom_site_type_symbol
_atom_site_fract_x
_atom_site_fract_y
_atom_site_fract_z
_atom_site_occupancy
Cl1 Cl 0.765 0.765 0.235 1
Cl2 Cl 0.765 0.235 0.765 1
Cl3 Cl 0.235 0.765 0.235 1
Cl4 Cl 0.765 0.235 0.235 1
Cl5 Cl 0.235 0.765 0.765 1
Cl6 Cl 0.235 0.235 0.765 1
Cs1 Cs 0.250 0.250 0.250 1
Cs2 Cs 0.750 0.750 0.750 1
Ga1 Ga 0.000 0.000 0.000 1
Au1 Au 0.500 0.500 0.500 1
```

Results
Crystal system: cubic
Energy of formation from the pure elements (eV/atom): -1.5822
Mass density (Mg/m³): 4.4
Uncorrected energy (eV/atom): -3.132

This record from the Materials Project database describes Cs2GdAuCl6 after structural relaxation. The functional is PBE.

```
data_Cs2GdAuCl6
_chemical_formula_sum 'Cs2 Gd1 Au1 Cl6'
_cell_length_a 7.723
_cell_length_b 7.723
_cell_length_c 7.723
_cell_angle_alpha 60.00
_cell_angle_beta 60.00
_cell_angle_gamma 60.00
_space_group_name_H-M_alt 'P 1'
_space_group_IT_number 1
_space_group_name_Hall 'P 1'
loop_
_atom_site_label
_atom_site_type_symbol
_atom_site_fract_x
_atom_site_fract_y
_atom_site_fract_z
_atom_site_occupancy
Cs1 Cs 0.250 0.250 0.250 1
Cs2 Cs 0.750 0.750 0.750 1
Cl1 Cl 0.245 0.755 0.755 1
Cl2 Cl 0.755 0.245 0.245 1
Cl3 Cl 0.755 0.755 0.245 1
Cl4 Cl 0.755 0.245 0.755 1
Cl5 Cl 0.245 0.245 0.755 1
Cl6 Cl 0.245 0.755 0.245 1
Au1 Au 0.500 0.500 0.500 1
Gd1 Gd 0.000 0.000 0.000 1
```

Results
Crystal system: cubic
Energy of formation from the pure elements (eV/atom): -2.0758
Mass density (Mg/m³): 4.2
Uncorrected energy (eV/atom): -4.731

This record from the Materials Project database describes Cs2KAuCl6 after structural relaxation. The functional is PBE.

```
data_Cs2KAuCl6
_chemical_formula_sum 'Cs2 K1 Au1 Cl6'
_cell_length_a 7.839
_cell_length_b 7.839
_cell_length_c 7.839
_cell_angle_alpha 60.00
_cell_angle_beta 60.00
_cell_angle_gamma 60.00
_space_group_name_H-M_alt 'P 1'
_space_group_IT_number 1
_space_group_name_Hall 'P 1'
loop_
_atom_site_label
_atom_site_type_symbol
_atom_site_fract_x
_atom_site_fract_y
_atom_site_fract_z
_atom_site_occupancy
Cl1 Cl 0.772 0.772 0.228 1
Cl2 Cl 0.228 0.772 0.772 1
Cl3 Cl 0.772 0.228 0.772 1
Cl4 Cl 0.772 0.228 0.228 1
Cl5 Cl 0.228 0.228 0.772 1
Cl6 Cl 0.228 0.772 0.228 1
Au1 Au 0.000 0.000 0.000 1
K1 K 0.500 0.500 0.500 1
Cs1 Cs 0.250 0.250 0.250 1
Cs2 Cs 0.750 0.750 0.750 1
```

Results
Crystal system: cubic
Energy of formation from the pure elements (eV/atom): -1.6080
Mass density (Mg/m³): 3.5
Uncorrected energy (eV/atom): -2.966

This record from the Materials Project database describes Cs2LaAuCl6 after structural relaxation. The functional is PBE.

```
data_Cs2LaAuCl6
_chemical_formula_sum 'Cs2 La1 Au1 Cl6'
_cell_length_a 7.854
_cell_length_b 7.854
_cell_length_c 7.854
_cell_angle_alpha 60.00
_cell_angle_beta 60.00
_cell_angle_gamma 60.00
_space_group_name_H-M_alt 'P 1'
_space_group_IT_number 1
_space_group_name_Hall 'P 1'
loop_
_atom_site_label
_atom_site_type_symbol
_atom_site_fract_x
_atom_site_fract_y
_atom_site_fract_z
_atom_site_occupancy
Cl1 Cl 0.250 0.750 0.250 1
Cl2 Cl 0.750 0.250 0.750 1
Cl3 Cl 0.250 0.750 0.750 1
Cl4 Cl 0.750 0.250 0.250 1
Cl5 Cl 0.750 0.750 0.250 1
Cl6 Cl 0.250 0.250 0.750 1
La1 La 0.000 0.000 0.000 1
Au1 Au 0.500 0.500 0.500 1
Cs1 Cs 0.250 0.250 0.250 1
Cs2 Cs 0.750 0.750 0.750 1
```

Results
Crystal system: cubic
Energy of formation from the pure elements (eV/atom): -2.0963
Mass density (Mg/m³): 3.9
Uncorrected energy (eV/atom): -3.837

This record from the Materials Project database describes Cs2NaAuCl6 after structural relaxation. The functional is PBE.

```
data_Cs2NaAuCl6
_chemical_formula_sum 'Cs2 Na1 Au1 Cl6'
_cell_length_a 7.573
_cell_length_b 7.573
_cell_length_c 7.573
_cell_angle_alpha 60.00
_cell_angle_beta 60.00
_cell_angle_gamma 60.00
_space_group_name_H-M_alt 'P 1'
_space_group_IT_number 1
_space_group_name_Hall 'P 1'
loop_
_atom_site_label
_atom_site_type_symbol
_atom_site_fract_x
_atom_site_fract_y
_atom_site_fract_z
_atom_site_occupancy
Cl1 Cl 0.237 0.237 0.763 1
Cl2 Cl 0.237 0.763 0.237 1
Cl3 Cl 0.763 0.237 0.763 1
Cl4 Cl 0.237 0.763 0.763 1
Cl5 Cl 0.763 0.763 0.237 1
Cl6 Cl 0.763 0.237 0.237 1
Cs1 Cs 0.250 0.250 0.250 1
Cs2 Cs 0.750 0.750 0.750 1
Au1 Au 0.000 0.000 0.000 1
Na1 Na 0.500 0.500 0.500 1
```

Results
Crystal system: cubic
Energy of formation from the pure elements (eV/atom): -1.5820
Mass density (Mg/m³): 3.8
Uncorrected energy (eV/atom): -2.961

This record from the Materials Project database describes Cs2SmAuCl6 after structural relaxation. The functional is PBE.

```
data_Cs2SmAuCl6
_chemical_formula_sum 'Cs2 Sm1 Au1 Cl6'
_cell_length_a 7.758
_cell_length_b 7.758
_cell_length_c 7.758
_cell_angle_alpha 60.00
_cell_angle_beta 60.00
_cell_angle_gamma 60.00
_space_group_name_H-M_alt 'P 1'
_space_group_IT_number 1
_space_group_name_Hall 'P 1'
loop_
_atom_site_label
_atom_site_type_symbol
_atom_site_fract_x
_atom_site_fract_y
_atom_site_fract_z
_atom_site_occupancy
Cl1 Cl 0.246 0.754 0.754 1
Cl2 Cl 0.246 0.754 0.246 1
Cl3 Cl 0.754 0.754 0.246 1
Cl4 Cl 0.754 0.246 0.246 1
Cl5 Cl 0.246 0.246 0.754 1
Cl6 Cl 0.754 0.246 0.754 1
Au1 Au 0.500 0.500 0.500 1
Cs1 Cs 0.750 0.750 0.750 1
Cs2 Cs 0.250 0.250 0.250 1
Sm1 Sm 0.000 0.000 0.000 1
```

Results
Crystal system: cubic
Energy of formation from the pure elements (eV/atom): -2.0669
Mass density (Mg/m³): 4.2
Uncorrected energy (eV/atom): -3.786

This record from the Materials Project database describes Cs2TbAuCl6 after structural relaxation. The functional is PBE.

```
data_Cs2TbAuCl6
_chemical_formula_sum 'Cs2 Tb1 Au1 Cl6'
_cell_length_a 7.702
_cell_length_b 7.702
_cell_length_c 7.702
_cell_angle_alpha 60.00
_cell_angle_beta 60.00
_cell_angle_gamma 60.00
_space_group_name_H-M_alt 'P 1'
_space_group_IT_number 1
_space_group_name_Hall 'P 1'
loop_
_atom_site_label
_atom_site_type_symbol
_atom_site_fract_x
_atom_site_fract_y
_atom_site_fract_z
_atom_site_occupancy
Au1 Au 0.500 0.500 0.500 1
Cl1 Cl 0.244 0.756 0.756 1
Cl2 Cl 0.756 0.244 0.244 1
Cl3 Cl 0.756 0.756 0.244 1
Cl4 Cl 0.244 0.756 0.244 1
Cl5 Cl 0.244 0.244 0.756 1
Cl6 Cl 0.756 0.244 0.756 1
Tb1 Tb 0.000 0.000 0.000 1
Cs1 Cs 0.750 0.750 0.750 1
Cs2 Cs 0.250 0.250 0.250 1
```

Results
Crystal system: cubic
Energy of formation from the pure elements (eV/atom): -2.0775
Mass density (Mg/m³): 4.3
Uncorrected energy (eV/atom): -3.788

This record from the Materials Project database describes Cs2TlAuCl6 after structural relaxation. The functional is PBE.

```
data_Cs2TlAuCl6
_chemical_formula_sum 'Cs2 Tl1 Au1 Cl6'
_cell_length_a 7.637
_cell_length_b 7.637
_cell_length_c 7.637
_cell_angle_alpha 60.00
_cell_angle_beta 60.00
_cell_angle_gamma 60.00
_space_group_name_H-M_alt 'P 1'
_space_group_IT_number 1
_space_group_name_Hall 'P 1'
loop_
_atom_site_label
_atom_site_type_symbol
_atom_site_fract_x
_atom_site_fract_y
_atom_site_fract_z
_atom_site_occupancy
Cs1 Cs 0.250 0.250 0.250 1
Cs2 Cs 0.750 0.750 0.750 1
Cl1 Cl 0.741 0.259 0.259 1
Cl2 Cl 0.741 0.259 0.741 1
Cl3 Cl 0.259 0.259 0.741 1
Cl4 Cl 0.259 0.741 0.259 1
Cl5 Cl 0.259 0.741 0.741 1
Cl6 Cl 0.741 0.741 0.259 1
Au1 Au 0.500 0.500 0.500 1
Tl1 Tl 0.000 0.000 0.000 1
```

Results
Crystal system: cubic
Energy of formation from the pure elements (eV/atom): -1.4972
Mass density (Mg/m³): 4.6
Uncorrected energy (eV/atom): -2.981

This record from the Materials Project database describes Rb2CuAuCl6 after structural relaxation. The functional is PBE.

```
data_Rb2CuAuCl6
_chemical_formula_sum 'Rb2 Cu1 Au1 Cl6'
_cell_length_a 7.103
_cell_length_b 7.103
_cell_length_c 7.103
_cell_angle_alpha 60.00
_cell_angle_beta 60.00
_cell_angle_gamma 60.00
_space_group_name_H-M_alt 'P 1'
_space_group_IT_number 1
_space_group_name_Hall 'P 1'
loop_
_atom_site_label
_atom_site_type_symbol
_atom_site_fract_x
_atom_site_fract_y
_atom_site_fract_z
_atom_site_occupancy
Cl1 Cl 0.743 0.743 0.257 1
Cl2 Cl 0.257 0.743 0.743 1
Cl3 Cl 0.743 0.257 0.257 1
Cl4 Cl 0.743 0.257 0.743 1
Cl5 Cl 0.257 0.743 0.257 1
Cl6 Cl 0.257 0.257 0.743 1
Rb1 Rb 0.250 0.250 0.250 1
Rb2 Rb 0.750 0.750 0.750 1
Au1 Au 0.000 0.000 0.000 1
Cu1 Cu 0.500 0.500 0.500 1
```

Results
Crystal system: cubic
Energy of formation from the pure elements (eV/atom): -1.3867
Mass density (Mg/m³): 4.2
Uncorrected energy (eV/atom): -3.061